An optimized crystal structure of BaZn5, computed with GGA-PBE.

The space group is Cmcm (No. 63) and the conventional cell measures 10.925, 8.489 and 5.337 Å, with angles of 90.00, 90.00 and 90.00 degrees. The inequivalent atoms are Ba at (0.000, 0.168, 0.250), Zn at (0.000, 0.422, 0.750), Zn at (0.192, 0.228, 0.750) and Zn at (0.205, 0.500, 0.000).

The value obtained for the formation energy is -0.221 eV/atom. The raw total energy comes out at -9.5 eV per formula unit.

An optimized crystal structure of Sr4GaN3O, computed with GGA-PBE.

The space group is Pbca (No. 61) and the conventional cell measures 7.420, 7.444 and 23.862 Å, with angles of 90.00, 90.00 and 90.00 degrees. The inequivalent atoms are Sr at (0.009, 0.204, 0.145), Sr at (0.142, 0.533, 0.062), Sr at (0.160, 0.136, 0.939), Sr at (0.240, 0.540, 0.754), Ga at (0.005, 0.712, 0.171), N at (0.002, 0.708, 0.251), N at (0.153, 0.064, 0.373), N at (0.154, 0.631, 0.628) and O at (0.023, 0.738, 0.976).

The value obtained for the formation energy is -1.104 eV/atom. The magnetization comes out at 0.00 μB per formula unit. The raw total energy comes out at -49.0 eV per formula unit.

An optimized crystal structure of SmH2, computed with GGA-PBE.

The space group is Fm-3m (No. 225) and the conventional cell measures 5.390, 5.390 and 5.390 Å, with angles of 90.00, 90.00 and 90.00 degrees. The inequivalent atoms are Sm at (0.000, 0.000, 0.000) and H at (0.250, 0.250, 0.250).

The value obtained for the formation energy is -0.768 eV/atom. The raw total energy comes out at -13.4 eV per formula unit.

An optimized crystal structure of Zr2H3Pd, computed with GGA-PBE.

The space group is I4/mmm (No. 139) and the conventional cell measures 3.207, 3.207 and 13.400 Å, with angles of 90.00, 90.00 and 90.00 degrees. The inequivalent atoms are Zr at (0.000, 0.000, 0.147), H at (0.000, 0.000, 0.000), H at (0.000, 0.500, 0.250) and Pd at (0.000, 0.000, 0.500).

The value obtained for the formation energy is -0.346 eV/atom. The magnetization comes out at 0.00 μB per formula unit. The raw total energy comes out at -34.5 eV per formula unit.